VOF: optimized geometry, PBE+U.

Cell and atoms, written as POSCAR:
```
VOF
1.0
-4.6530 0.0002 -0.0001
-0.0004 4.7843 -9.4081
0.0001 -4.7310 -3.1105
F V O
8 8 8
Cartesian
-0.9359 0.9218 -7.7707 F
-0.9173 0.9077 -4.6172 F
-3.7314 3.8948 -7.9245 F
-1.4095 3.3008 -9.3223 F
-1.3904 -1.4698 -3.0662 F
-3.2500 -3.2513 -3.1742 F
-3.7297 -0.8603 -7.8782 F
-3.2491 1.5025 -3.2188 F
-0.0984 -4.6582 -3.2236 V
-4.5503 -0.0554 -6.1456 V
-0.1014 0.1330 -9.5066 V
-4.5556 -0.0575 -3.0202 V
-2.2251 -2.2599 -4.8007 V
-2.4243 2.3347 -7.7248 V
-2.4301 2.3382 -10.8499 V
-2.2279 -2.2667 -7.9272 V
-1.4058 -1.3735 -6.3153 O
-0.9623 -3.8094 -4.7539 O
-3.2518 1.4356 -9.3260 O
-3.6841 -0.9173 -1.4828 O
-3.7274 -0.9567 -4.6205 O
-1.3645 -1.4170 -9.4588 O
-3.2951 1.4737 -6.1876 O
-0.9212 1.0199 -11.0204 O
```

Its space group is Pc (7). The value obtained for the formation energy is -2.801 eV/atom. For the size of the total moment, the calculation gives 2.00 μB per formula unit. The calculation puts the total energy after the MP2020 corrections at -0.2983 Ha/atom.

=====

MoH8N2O4: optimized geometry, PBE+U.

Cell and atoms, written as POSCAR:
```
MoH8N2O4
1.0
3.3345 6.3817 0.0000
-3.3345 6.3817 0.0000
0.0000 3.5852 6.9808
H N Mo O
16 4 2 8
Cartesian
0.0000 12.6354 1.7312 H
0.8366 7.2967 2.4414 H
0.0000 3.7131 5.2496 H
0.0000 5.0101 6.3231 H
0.0000 10.0999 5.5690 H
0.0000 6.2486 1.4118 H
0.8285 11.1809 2.1479 H
-0.8285 11.1809 2.1479 H
0.8366 9.0518 4.5394 H
0.0000 8.4550 5.9320 H
-0.8366 9.0518 4.5394 H
0.0000 7.8935 1.0488 H
-0.8366 7.2967 2.4414 H
0.0000 11.3384 0.6577 H
-0.8285 5.1676 4.8329 H
0.8285 5.1676 4.8329 H
0.0000 7.2026 1.8352 N
0.0000 11.5937 1.6755 N
0.0000 4.7548 5.3053 N
0.0000 9.1459 5.1456 N
0.0000 3.1629 1.9441 Mo
0.0000 13.1856 5.0367 Mo
-1.8639 9.7114 2.9625 O
1.8639 9.7114 2.9625 O
0.0000 11.8311 6.2269 O
-1.8639 6.6371 4.0183 O
0.0000 14.7845 5.8784 O
1.8639 6.6371 4.0183 O
0.0000 1.5640 1.1024 O
0.0000 4.5174 0.7539 O
```

Its space group is C2/m (12). The value obtained for the formation energy is -1.017 eV/atom. For the size of the total moment, the calculation gives 0.00 μB per formula unit. The calculation puts the total energy after the MP2020 corrections at -0.2198 Ha/atom. The offset from the most stable computed form is 0 meV/atom.

=====

Li4V5Cr3O16: optimized geometry, PBE+U.

Cell and atoms, written as POSCAR:
```
Li4V5Cr3O16
1.0
2.9824 5.0656 0.0000
-2.9824 5.0656 0.0000
0.0000 0.1492 9.5696
V O Li Cr
5 16 4 3
Cartesian
0.0000 6.7901 4.6500 V
0.0000 8.4048 2.0799 V
1.4796 4.2916 6.8436 V
0.0000 3.5371 9.4967 V
-1.4796 4.2916 6.8436 V
1.5060 5.9078 5.7802 O
1.3333 2.7953 8.0333 O
0.0000 5.3096 3.2205 O
1.3145 7.5787 3.2543 O
1.4816 4.2382 0.9129 O
-1.5060 5.9078 5.7802 O
0.0000 3.5290 5.7770 O
-1.4816 4.2382 0.9129 O
0.0000 6.8704 0.9885 O
0.0000 10.2208 7.7773 O
0.0000 8.5351 5.8157 O
-1.3333 2.7953 8.0333 O
0.0000 10.1215 2.9273 O
0.0000 4.9720 8.0789 O
-1.3145 7.5787 3.2543 O
0.0000 1.7661 0.8708 O
0.0000 10.1916 4.7254 Li
0.0000 10.2749 9.5503 Li
0.0000 3.4493 3.7469 Li
0.0000 6.8963 8.5753 Li
0.0000 1.8215 6.8275 Cr
1.4463 5.9459 2.0332 Cr
-1.4463 5.9459 2.0332 Cr
```

Its space group is Cm (8). The value obtained for the formation energy is -2.448 eV/atom. For the size of the total moment, the calculation gives 15.00 μB per formula unit. The calculation puts the total energy after the MP2020 corrections at -0.3015 Ha/atom. The offset from the most stable computed form is 0 meV/atom.